Density functional theory data (meta-GGA r2SCAN) for a geometry-optimized LaGe2Ir2 structure.

energy of formation from the pure elements: -4.50 eV/f.u.
V: 18.72 Å³/atom

Cell: 4.298 4.298 10.136 Å, 90.00 90.00 90.00°
Sites, in units of the cell vectors:
1 La 0.250 0.250 0.243
2 La 0.750 0.750 0.757
3 Ge 0.250 0.250 0.630
4 Ge 0.250 0.750 0.000
5 Ge 0.750 0.250 0.000
6 Ge 0.750 0.750 0.370
7 Ir 0.250 0.250 0.873
8 Ir 0.250 0.750 0.500
9 Ir 0.750 0.250 0.500
10 Ir 0.750 0.750 0.127